Record 1
The following is a DFT calculation (PBE) of a relaxed TmRu3 crystal.

## Properties
- calculated volume (Å³/cell) = 130
- size of the total moment (μB/atom) = 0.088
- E_tot (eV per formula unit) = -31.901

a b c (Å): 3.9839 3.9839 8.1715
angles (deg): 90.00 90.00 90.00
Space group I4/mmm (No. 139)
Unique sites:
Tm (0.0000, 0.0000, 0.0000) x2
Ru (0.0000, 0.0000, 0.5000) x2
Ru (0.0000, 0.5000, 0.2500) x4

Record 2
The following is a DFT calculation (PBE) of a relaxed Tm5Ru2 crystal.

## Properties
- calculated volume (Å³/cell) = 696
- size of the total moment (μB/atom) = 0.001
- E_tot (eV per formula unit) = -43.791

a b c (Å): 15.5260 6.2408 7.2418
angles (deg): 90.00 97.21 90.00
Space group C2/c (No. 15)
Unique sites:
Tm (0.0000, 0.0818, 0.2500) x4
Tm (0.0933, 0.3842, 0.9160) x8
Tm (0.2175, 0.0769, 0.3155) x8
Ru (0.1098, 0.2126, 0.5763) x8

Record 3
The following is a DFT calculation (PBE) of a relaxed Tm3Ru2 crystal.

## Properties
- calculated volume (Å³/cell) = 229
- size of the total moment (μB/atom) = 0.000
- E_tot (eV per formula unit) = -33.609

a b c (Å): 7.5317 7.5317 4.6669
angles (deg): 90.00 90.00 120.00
Space group P6_3/m (No. 176)
Unique sites:
Tm (0.0808, 0.6944, 0.2500) x6
Ru (0.0000, 0.0000, 0.0000) x2
Ru (0.3333, 0.6667, 0.7500) x2

Record 4
The following is a DFT calculation (PBE) of a relaxed Tm3Ru crystal.

## Properties
- calculated volume (Å³/cell) = 406
- E_tot (eV per formula unit) = -24.191

a b c (Å): 7.2500 9.0220 6.2057
angles (deg): 90.00 90.00 90.00
Space group Pnma (No. 62)
Unique sites:
Tm (0.0412, 0.2500, 0.1333) x4
Tm (0.1760, 0.0637, 0.6693) x8
Ru (0.1152, 0.7500, 0.4615) x4

Record 5
The following is a DFT calculation (PBE) of a relaxed TmRu3 crystal.

## Properties
- calculated volume (Å³/cell) = 65
- size of the total moment (μB/atom) = 0.162
- E_tot (eV per formula unit) = -31.931

a b c (Å): 4.0165 4.0165 4.0165
angles (deg): 90.00 90.00 90.00
Space group Pm-3m (No. 221)
Unique sites:
Tm (0.0000, 0.0000, 0.0000) x1
Ru (0.0000, 0.5000, 0.5000) x3

Record 6
The following is a DFT calculation (PBE) of a relaxed YTmRu2 crystal.

## Properties
- calculated volume (Å³/cell) = 309
- E_tot (eV per formula unit) = -30.871

a b c (Å): 6.7631 6.7631 6.7631
angles (deg): 90.00 90.00 90.00
Space group Fm-3m (No. 225)
Unique sites:
Y (0.0000, 0.0000, 0.0000) x4
Tm (0.0000, 0.0000, 0.5000) x4
Ru (0.2500, 0.2500, 0.2500) x8

Record 7
The following is a DFT calculation (PBE) of a relaxed Tm2ZnRu crystal.

## Properties
- calculated volume (Å³/cell) = 323
- E_tot (eV per formula unit) = -21.161

a b c (Å): 6.8603 6.8603 6.8603
angles (deg): 90.00 90.00 90.00
Space group Fm-3m (No. 225)
Unique sites:
Tm (0.2500, 0.2500, 0.2500) x8
Zn (0.0000, 0.0000, 0.0000) x4
Ru (0.0000, 0.0000, 0.5000) x4

Record 8
The following is a DFT calculation (PBE) of a relaxed TmZrRu2 crystal.

## Properties
- calculated volume (Å³/cell) = 291
- E_tot (eV per formula unit) = -33.843

a b c (Å): 6.6278 6.6278 6.6278
angles (deg): 90.00 90.00 90.00
Space group Fm-3m (No. 225)
Unique sites:
Tm (0.0000, 0.0000, 0.0000) x4
Zr (0.0000, 0.0000, 0.5000) x4
Ru (0.2500, 0.2500, 0.2500) x8

Record 9
The following is a DFT calculation (PBE) of a relaxed U2Ru crystal.

## Properties
- calculated volume (Å³/cell) = 230
- size of the total moment (μB/atom) = 0.274
- E_tot (eV per formula unit) = -31.946

a b c (Å): 15.4037 3.8783 3.8500
angles (deg): 90.00 91.58 90.00
Space group C2/m (No. 12)
Unique sites:
U (0.0000, 0.0000, 0.0000) x2
U (0.0000, 0.5000, 0.5000) x2
U (0.1604, 0.0000, 0.4988) x4
Ru (0.1709, 0.5000, 0.9961) x4

Record 10
The following is a DFT calculation (PBE) of a relaxed URu3 crystal.

## Properties
- calculated volume (Å³/cell) = 64
- E_tot (eV per formula unit) = -40.423

a b c (Å): 4.0011 4.0011 4.0011
angles (deg): 90.00 90.00 90.00
Space group Pm-3m (No. 221)
Unique sites:
U (0.0000, 0.0000, 0.0000) x1
Ru (0.0000, 0.5000, 0.5000) x3

Record 11
The following is a DFT calculation (PBE) of a relaxed UZn20Ru2 crystal.

## Properties
- calculated volume (Å³/cell) = 2888
- size of the total moment (μB/atom) = 0.100
- E_tot (eV per formula unit) = -58.027

a b c (Å): 14.2408 14.2408 14.2408
angles (deg): 90.00 90.00 90.00
Space group Fd-3m (No. 227, origin choice 2)
Unique sites:
U (0.1250, 0.1250, 0.1250) x8
Zn (0.0000, 0.0000, 0.0000) x16
Zn (0.0115, 0.3750, 0.8750) x48
Zn (0.0595, 0.0595, 0.3245) x96
Ru (0.0000, 0.0000, 0.5000) x16

Record 12
The following is a DFT calculation (PBE) of a relaxed V4Ru crystal.

## Properties
- calculated volume (Å³/cell) = 271
- size of the total moment (μB/atom) = 0.002
- E_tot (eV per formula unit) = -46.127

a b c (Å): 3.0046 4.3985 20.5137
angles (deg): 90.00 90.00 90.00
Space group Fmmm (No. 69)
Unique sites:
V (0.0000, 0.0000, 0.1006) x8
V (0.0000, 0.0000, 0.3000) x8
Ru (0.0000, 0.0000, 0.5000) x4

Record 13
The following is a DFT calculation (PBE) of a relaxed V3Ru crystal.

## Properties
- calculated volume (Å³/cell) = 215
- E_tot (eV per formula unit) = -37.643

a b c (Å): 5.9871 5.9871 5.9871
angles (deg): 90.00 90.00 90.00
Space group Fm-3m (No. 225)
Unique sites:
V (0.0000, 0.0000, 0.0000) x4
V (0.2500, 0.2500, 0.2500) x8
Ru (0.0000, 0.0000, 0.5000) x4

Record 14
The following is a DFT calculation (PBE) of a relaxed Ru3W crystal.

## Properties
- calculated volume (Å³/cell) = 116
- E_tot (eV per formula unit) = -41.059

a b c (Å): 5.5181 5.5181 4.3825
angles (deg): 90.00 90.00 120.00
Space group P6_3/mmc (No. 194)
Unique sites:
Ru (0.1667, 0.3335, 0.2500) x6
W (0.3333, 0.6667, 0.7500) x2

Record 15
The following is a DFT calculation (PBE) of a relaxed Ru2W3 crystal.

## Properties
- calculated volume (Å³/cell) = 925
- size of the total moment (μB/atom) = 0.000
- E_tot (eV per formula unit) = -57.196

a b c (Å): 13.5899 13.6692 4.9811
angles (deg): 90.00 90.00 90.00
Space group Cmm2 (No. 35)
Unique sites:
Ru (0.0000, 0.0000, 0.0000) x2
Ru (0.0000, 0.1823, 0.2578) x4
Ru (0.0000, 0.5000, 0.5071) x2
Ru (0.0979, 0.3342, 0.5072) x8
Ru (0.1653, 0.0990, 0.0099) x8
W (0.0000, 0.1807, 0.7584) x4
W (0.0000, 0.3977, 0.0098) x4
W (0.1029, 0.0000, 0.5091) x4
W (0.1654, 0.2950, 0.0096) x8
W (0.1809, 0.5000, 0.7593) x4
W (0.1822, 0.5000, 0.2574) x4
W (0.2018, 0.1664, 0.5067) x8

Record 16
The following is a DFT calculation (PBE) of a relaxed Y5Ru2 crystal.

## Properties
- calculated volume (Å³/cell) = 731
- size of the total moment (μB/atom) = 0.000
- E_tot (eV per formula unit) = -53.216

a b c (Å): 15.8350 6.3586 7.3140
angles (deg): 90.00 97.10 90.00
Space group C2/c (No. 15)
Unique sites:
Y (0.0000, 0.0797, 0.2500) x4
Y (0.0935, 0.3850, 0.9154) x8
Y (0.2174, 0.0763, 0.3148) x8
Ru (0.1099, 0.2128, 0.5759) x8

Record 17
The following is a DFT calculation (PBE) of a relaxed YRu3 crystal.

## Properties
- calculated volume (Å³/cell) = 67
- size of the total moment (μB/atom) = 0.181
- E_tot (eV per formula unit) = -33.466

a b c (Å): 4.0540 4.0540 4.0540
angles (deg): 90.00 90.00 90.00
Space group Pm-3m (No. 221)
Unique sites:
Y (0.0000, 0.0000, 0.0000) x1
Ru (0.0000, 0.5000, 0.5000) x3

Record 18
The following is a DFT calculation (PBE) of a relaxed Y3Ru2 crystal.

## Properties
- calculated volume (Å³/cell) = 240
- size of the total moment (μB/atom) = 0.000
- E_tot (eV per formula unit) = -39.228

a b c (Å): 7.6397 7.6397 4.7475
angles (deg): 90.00 90.00 120.00
Space group P6_3/m (No. 176)
Unique sites:
Y (0.0782, 0.3830, 0.2500) x6
Ru (0.0000, 0.0000, 0.0000) x2
Ru (0.3333, 0.6667, 0.7500) x2

Record 19
The following is a DFT calculation (PBE) of a relaxed YZn20Ru2 crystal.

## Properties
- calculated volume (Å³/cell) = 2913
- size of the total moment (μB/atom) = 0.001
- E_tot (eV per formula unit) = -54.761

a b c (Å): 14.2822 14.2822 14.2822
angles (deg): 90.00 90.00 90.00
Space group Fd-3m (No. 227, origin choice 2)
Unique sites:
Y (0.1250, 0.1250, 0.1250) x8
Zn (0.0000, 0.0000, 0.0000) x16
Zn (0.0114, 0.3750, 0.8750) x48
Zn (0.0591, 0.0591, 0.3254) x96
Ru (0.0000, 0.0000, 0.5000) x16

Record 20
The following is a DFT calculation (PBE) of a relaxed YZrRu2 crystal.

## Properties
- calculated volume (Å³/cell) = 299
- E_tot (eV per formula unit) = -35.427

a b c (Å): 6.6843 6.6843 6.6843
angles (deg): 90.00 90.00 90.00
Space group Fm-3m (No. 225)
Unique sites:
Y (0.0000, 0.0000, 0.0000) x4
Zr (0.0000, 0.0000, 0.5000) x4
Ru (0.2500, 0.2500, 0.2500) x8